Compound: NaTi4P5SO24
Source: the Materials Project
Functional: PBE
Structure: relaxed

- total magnetization (Bohr magnetons per cell) = 0.00
- E_form (meV/atom) = -2914
- E_tot (eV per cell) = -805.11

a = 8.5897 Å, b = 8.5963 Å, c = 22.2935 Å
α = 90.04°, β = 89.90°, γ = 120.03°
Closest atoms and distances in Å follow each position.
Sites, in units of the cell vectors:
O  0.8320  0.0353  0.8056  1 P 1.55
O  0.9737  0.8071  0.0925  1 P 1.52
P  0.2849  0.2840  0.7506  4 O 1.53-1.56
O  0.5338  0.8373  0.4728  1 P 1.55
Na  0.3334  0.6673  0.1672  6 O 2.54-2.58
O  0.8413  0.3029  0.5297  1 S 1.48
O  0.6991  0.5398  0.5296  1 S 1.48
O  0.0302  0.8299  0.6941  1 P 1.56
P  0.0458  0.3797  0.9163  4 O 1.54-1.55
O  0.1331  0.4989  0.8606  1 P 1.54
O  0.6919  0.5245  0.2426  1 P 1.55
Ti  0.9923  0.9995  0.8563  6 O 1.89-2.04
O  0.5053  0.6388  0.5754  1 S 1.47
Ti  0.6613  0.3248  0.6893  6 O 1.89-2.05
P  0.6664  0.0452  0.0833  4 O 1.53-1.55
Ti  0.3330  0.6728  0.5185  6 O 1.88-2.08
P  0.9995  0.2855  0.2500  4 O 1.54-1.55
P  0.2858  0.9998  0.2498  4 O 1.54-1.55
O  0.7979  0.8299  0.1938  1 P 1.54
O  0.5342  0.6980  0.9723  1 P 1.55
P  0.3781  0.0442  0.5832  4 O 1.53-1.55
O  0.6939  0.1678  0.7415  1 P 1.56
O  0.6964  0.1636  0.0272  1 P 1.55
O  0.8271  0.8008  0.5917  1 S 1.48
P  0.9997  0.7124  0.7508  4 O 1.53-1.56
O  0.8379  0.5352  0.0277  1 P 1.56
O  0.4949  0.1357  0.9229  1 S 1.49
O  0.1701  0.2011  0.6939  1 P 1.54
Ti  0.6664  0.3323  0.1876  6 O 1.93-1.98
P  0.7128  0.9975  0.7495  4 O 1.53-1.56
Ti  0.6730  0.3393  0.9826  5 O 1.86-2.01
O  0.5006  0.8700  0.3610  1 P 1.54
Ti  0.0008  0.0000  0.3554  6 O 1.94-1.96
O  0.1725  0.9731  0.9084  1 S 1.48
P  0.3791  0.3306  0.0836  4 O 1.52-1.56
O  0.2018  0.0315  0.3063  1 P 1.54
O  0.6402  0.4975  0.9238  1 P 1.54
O  0.1637  0.4679  0.9722  1 P 1.54
O  0.5010  0.3610  0.4255  1 P 1.57
O  0.8579  0.4983  0.4267  1 P 1.55
O  0.8325  0.3081  0.2427  1 P 1.55
O  0.9719  0.1717  0.5917  1 S 1.48
O  0.8003  0.9700  0.6936  1 P 1.53
Ti  0.3327  0.6657  0.3115  6 O 1.95-1.96
O  0.3046  0.4682  0.4733  1 P 1.54
O  0.1629  0.6961  0.4727  1 P 1.55
P  0.9569  0.6233  0.0841  4 O 1.52-1.56
O  0.1928  0.1671  0.0925  1 P 1.52
P  0.0446  0.6665  0.4164  4 O 1.53-1.55
O  0.3078  0.8326  0.2578  1 P 1.55
Ti  0.0063  0.9989  0.6474  6 O 1.88-2.07
O  0.4666  0.3035  0.0271  1 P 1.54
O  0.5249  0.6924  0.2579  1 P 1.55
O  0.6326  0.1318  0.1390  1 P 1.55
O  0.0280  0.1941  0.9066  1 P 1.54
O  0.5256  0.8355  0.7602  1 P 1.53
S  0.9547  0.3328  0.5832  4 O 1.48-1.49
O  0.4754  0.1675  0.2426  1 P 1.55
O  0.8690  0.5011  0.1390  1 P 1.54
O  0.3594  0.8590  0.5738  1 P 1.53
O  0.3655  0.8742  0.8623  1 S 1.48
O  0.4757  0.3094  0.7412  1 P 1.56
O  0.4975  0.8584  0.0746  1 P 1.55
O  0.8328  0.5249  0.7403  1 P 1.55
P  0.7143  0.7138  0.2500  4 O 1.54-1.55
Ti  0.9991  0.0000  0.1438  6 O 1.93-1.97
O  0.3029  0.8441  0.9707  1 S 1.48
S  0.6662  0.6213  0.5834  4 O 1.47-1.49
O  0.1680  0.1930  0.4078  1 P 1.53
S  0.3329  0.9541  0.9163  4 O 1.48-1.49
P  0.3303  0.3802  0.4170  4 O 1.53-1.57
Ti  0.6572  0.3271  0.4763  6 O 1.89-2.07
O  0.9684  0.1702  0.3064  1 P 1.54
O  0.8564  0.3569  0.9239  1 P 1.55
O  0.3688  0.4995  0.3611  1 P 1.54
O  0.4992  0.3679  0.1392  1 P 1.54
O  0.6368  0.5080  0.6372  1 S 1.49
O  0.3077  0.4723  0.7586  1 P 1.54
P  0.6216  0.9525  0.4162  4 O 1.52-1.56
O  0.8064  0.8319  0.9067  1 P 1.54
O  0.0323  0.2023  0.1938  1 P 1.54
O  0.1668  0.6939  0.7600  1 P 1.53
O  0.1342  0.4935  0.5754  1 S 1.48
O  0.1674  0.4751  0.2578  1 P 1.55
O  0.8297  0.7983  0.3064  1 P 1.54
O  0.4691  0.1664  0.5282  1 P 1.55
O  0.8324  0.0262  0.0925  1 P 1.53
O  0.8079  0.9749  0.4079  1 P 1.52
P  0.6193  0.6646  0.9161  4 O 1.54-1.55
O  0.8724  0.3648  0.6373  1 S 1.49
O  0.2029  0.1673  0.8061  1 P 1.53
Ti  0.3362  0.6594  0.0218  6 O 1.91-2.09
O  0.1700  0.9678  0.1937  1 P 1.54
O  0.1929  0.0266  0.5934  1 P 1.54
Ti  0.3305  0.6579  0.8090  6 O 1.88-2.10
O  0.5011  0.6360  0.8606  1 P 1.54
O  0.0257  0.8326  0.4078  1 P 1.53
Na  0.6684  0.3355  0.8344  6 O 2.51-2.60
O  0.1431  0.6420  0.0745  1 P 1.54
O  0.1306  0.6313  0.3612  1 P 1.54
O  0.3598  0.5003  0.0756  1 P 1.56
Na  0.6672  0.3339  0.3316  6 O 2.51-2.62
O  0.9661  0.7988  0.8059  1 P 1.53
O  0.4994  0.1361  0.6387  1 P 1.55
O  0.6415  0.1414  0.4257  1 P 1.56